[1]
The following is a GGA-PBE calculation of CdRe2H8C2S2N4O8 after structural relaxation, from the Materials Project.

Computed properties:
- Space-group type: P2_1/c (14)

Cell lengths 6.1693, 11.8343, 10.8940 Å; angles 90.00, 93.93, 90.00 degrees
Closest atoms and distances in Å follow each position.
Element x y z (fractional)
1 N 0.2636 0.0011 0.6986  2 H 1.02
2 N 0.0033 0.3718 0.8589  2 H 1.02
3 N 0.2636 0.4989 0.1986  2 H 1.02
4 N 0.7364 0.5011 0.8014  2 H 1.02
5 N 0.7364 0.9989 0.3014  2 H 1.02
6 N 0.0033 0.1282 0.3589  2 H 1.02
7 N 0.9967 0.6282 0.1411  2 H 1.02
8 N 0.9967 0.8718 0.6411  2 H 1.02
9 H 0.1579 0.1567 0.3543  1 N 1.02
10 H 0.1023 0.8247 0.5949  1 N 1.02
11 H 0.6913 0.9248 0.2594  1 N 1.02
12 H 0.8977 0.1753 0.4051  1 N 1.02
13 H 0.8421 0.8433 0.6457  1 N 1.02
14 H 0.1579 0.3433 0.8543  1 N 1.02
15 H 0.3743 0.5416 0.1505  1 N 1.02
16 H 0.3743 0.9584 0.6505  1 N 1.02
17 H 0.8977 0.3247 0.9051  1 N 1.02
18 H 0.6257 0.0416 0.3495  1 N 1.02
19 H 0.3087 0.0752 0.7406  1 N 1.02
20 H 0.3087 0.4248 0.2406  1 N 1.02
21 H 0.6257 0.4584 0.8495  1 N 1.02
22 H 0.8421 0.6567 0.1457  1 N 1.02
23 H 0.6913 0.5752 0.7594  1 N 1.02
24 H 0.1023 0.6753 0.0949  1 N 1.02
25 O 0.5020 0.6474 0.0151  1 Re 1.75
26 O 0.5465 0.7627 0.7888  1 Re 1.74
27 O 0.4980 0.1474 0.4849  1 Re 1.75
28 O 0.4535 0.2627 0.7112  1 Re 1.74
29 O 0.5020 0.8526 0.5151  1 Re 1.75
30 O 0.6738 0.6280 0.5172  1 Re 1.76
31 O 0.2189 0.6678 0.4494  1 Re 1.77
32 O 0.3262 0.1280 0.9828  1 Re 1.76
33 O 0.2189 0.8322 0.9494  1 Re 1.77
34 O 0.5465 0.7373 0.2888  1 Re 1.74
35 O 0.7811 0.3322 0.5506  1 Re 1.77
36 O 0.4535 0.2373 0.2112  1 Re 1.74
37 O 0.7811 0.1678 0.0506  1 Re 1.77
38 O 0.3262 0.3720 0.4828  1 Re 1.76
39 O 0.4980 0.3526 0.9849  1 Re 1.75
40 O 0.6738 0.8720 0.0172  1 Re 1.76
41 C 0.0600 0.9653 0.7019  2 N 1.33-1.34
42 C 0.0600 0.5347 0.2019  2 N 1.33-1.34
43 C 0.9400 0.0347 0.2981  2 N 1.33-1.34
44 C 0.9400 0.4653 0.7981  2 N 1.33-1.34
45 S 0.1284 0.9588 0.2197  1 C 1.74
46 S 0.1284 0.5412 0.7197  1 C 1.74
47 S 0.8716 0.4588 0.2803  1 C 1.74
48 S 0.8716 0.0412 0.7803  1 C 1.74
49 Cd 0.0000 0.5000 0.5000  4 O 2.48-2.54, 2 S 2.52
50 Cd 0.0000 0.0000 0.0000  4 O 2.48-2.54, 2 S 2.52
51 Re 0.5146 0.2792 0.5582  4 O 1.74-1.77
52 Re 0.4854 0.7792 0.9418  4 O 1.74-1.77
53 Re 0.4854 0.7208 0.4418  4 O 1.74-1.77
54 Re 0.5146 0.2208 0.0582  4 O 1.74-1.77


[2]
The following is a GGA-PBE calculation of NaCaYCdF8 after structural relaxation, from the Materials Project.

Computed properties:
- Space-group type: I-4m2 (119)

Cell lengths 6.7112, 6.7112, 6.7112 Å; angles 131.57, 131.57, 70.91 degrees
Closest atoms and distances in Å follow each position.
Element x y z (fractional)
1 F 0.3845 0.3845 0.5203  1 Y 2.31, 1 Ca 2.38, 1 Cd 2.38, 1 Na 2.44
2 F 0.8642 0.8642 0.4797  1 Y 2.31, 1 Ca 2.38, 1 Cd 2.38, 1 Na 2.44
3 F 0.8642 0.3845 0.0000  1 Y 2.31, 1 Ca 2.38, 1 Cd 2.38, 1 Na 2.44
4 F 0.6155 0.1358 0.0000  1 Y 2.31, 1 Ca 2.38, 1 Cd 2.38, 1 Na 2.44
5 F 0.6155 0.6155 0.4797  1 Y 2.31, 1 Ca 2.38, 1 Cd 2.38, 1 Na 2.44
6 F 0.3845 0.8642 0.0000  1 Y 2.31, 1 Ca 2.38, 1 Cd 2.38, 1 Na 2.44
7 F 0.1358 0.1358 0.5203  1 Y 2.31, 1 Ca 2.38, 1 Cd 2.38, 1 Na 2.44
8 F 0.1358 0.6155 0.0000  1 Y 2.31, 1 Ca 2.38, 1 Cd 2.38, 1 Na 2.44
9 Na 0.0000 0.0000 0.0000  8 F 2.44
10 Ca 0.7500 0.2500 0.5000  8 F 2.38
11 Cd 0.2500 0.7500 0.5000  8 F 2.38
12 Y 0.5000 0.5000 0.0000  8 F 2.31


Energy of formation across the listed records, respectively: -1.038, -3.657 eV/atom.
Calculated total energy across the listed records, respectively: -6.45, -5.52 eV per atom.